Here is crystalline CoSi2O6 at its relaxed geometry from the Materials Project. Energies are from GGA+U.

Unit cell a=5.105 b=18.472 c=10.791 alpha=90.00 beta=90.00 gamma=90.00
Positions (direct):
Co 0.061 0.126 0.042
Co 0.061 0.374 0.542
Co 0.439 0.626 0.042
Co 0.439 0.874 0.542
Co 0.561 0.126 0.458
Co 0.561 0.374 0.958
Co 0.939 0.626 0.458
Co 0.939 0.874 0.958
Si 0.125 0.724 0.831
Si 0.125 0.776 0.331
Si 0.233 0.526 0.671
Si 0.233 0.974 0.171
Si 0.267 0.026 0.671
Si 0.267 0.474 0.171
Si 0.375 0.224 0.831
Si 0.375 0.276 0.331
Si 0.625 0.724 0.669
Si 0.625 0.776 0.169
Si 0.733 0.526 0.829
Si 0.733 0.974 0.329
Si 0.767 0.026 0.829
Si 0.767 0.474 0.329
Si 0.875 0.224 0.669
Si 0.875 0.276 0.169
O 0.029 0.545 0.783
O 0.029 0.955 0.283
O 0.124 0.690 0.367
O 0.124 0.810 0.867
O 0.163 0.575 0.549
O 0.163 0.925 0.049
O 0.168 0.205 0.720
O 0.168 0.295 0.220
O 0.204 0.676 0.954
O 0.204 0.824 0.454
O 0.222 0.061 0.138
O 0.222 0.439 0.638
O 0.278 0.561 0.138
O 0.278 0.939 0.638
O 0.296 0.176 0.954
O 0.296 0.324 0.454
O 0.332 0.705 0.720
O 0.332 0.795 0.220
O 0.337 0.075 0.549
O 0.337 0.425 0.049
O 0.376 0.190 0.367
O 0.376 0.310 0.867
O 0.471 0.045 0.783
O 0.471 0.455 0.283
O 0.529 0.545 0.717
O 0.529 0.955 0.217
O 0.624 0.690 0.133
O 0.624 0.810 0.633
O 0.663 0.575 0.951
O 0.663 0.925 0.451
O 0.668 0.205 0.780
O 0.668 0.295 0.280
O 0.704 0.676 0.546
O 0.704 0.824 0.046
O 0.722 0.061 0.362
O 0.722 0.439 0.862
O 0.778 0.561 0.362
O 0.778 0.939 0.862
O 0.796 0.176 0.546
O 0.796 0.324 0.046
O 0.832 0.705 0.780
O 0.832 0.795 0.280
O 0.837 0.075 0.951
O 0.837 0.425 0.451
O 0.876 0.190 0.133
O 0.876 0.310 0.633
O 0.971 0.045 0.717
O 0.971 0.455 0.217

**Magnetic moment**: 39.99 Bohr magnetons per cell
**VASP energy**: -7.040 eV per atom
**ΔH_f (0 K)**: -21.48 eV/f.u.
**Polymorph energy (0 for the lowest one)**: 0.0000 eV per atom
**Space group**: Pbca (61)



Here is crystalline CoSi2O6 at its relaxed geometry from the Materials Project. Energies are from GGA+U.

Unit cell a=6.399 b=6.399 c=5.336 alpha=104.70 beta=104.70 gamma=84.26
Positions (direct):
Co 0.000 0.000 0.000
Co 0.806 0.194 0.500
Si 0.109 0.482 0.989
Si 0.288 0.314 0.497
Si 0.518 0.891 0.011
Si 0.686 0.712 0.503
O 0.085 0.142 0.394
O 0.250 0.462 0.282
O 0.266 0.457 0.788
O 0.278 0.010 0.974
O 0.525 0.191 0.532
O 0.538 0.750 0.718
O 0.543 0.734 0.212
O 0.713 0.069 0.128
O 0.809 0.475 0.468
O 0.858 0.915 0.606
O 0.931 0.287 0.872
O 0.990 0.722 0.026

**Magnetic moment**: 0.00 Bohr magnetons per cell
**VASP energy**: -6.992 eV per atom
**ΔH_f (0 K)**: -21.04 eV/f.u.
**Polymorph energy (0 for the lowest one)**: 0.0482 eV per atom
**Space group**: C2 (5)



Here is crystalline Sr2CoSi2O7 at its relaxed geometry from the Materials Project. Energies are from GGA+U.

Unit cell a=8.106 b=8.106 c=10.457 alpha=90.00 beta=90.00 gamma=90.00
Positions (direct):
Sr 0.667 0.833 0.747
Sr 0.333 0.167 0.247
Sr 0.167 0.667 0.253
Sr 0.833 0.333 0.753
Sr 0.833 0.333 0.253
Sr 0.333 0.167 0.747
Sr 0.667 0.833 0.247
Sr 0.167 0.667 0.753
Co 0.500 0.500 0.500
Co 0.000 0.000 0.000
Co 0.500 0.500 0.000
Co 0.000 0.000 0.500
O 0.420 0.691 0.899
O 0.920 0.809 0.101
O 0.580 0.309 0.899
O 0.080 0.191 0.601
O 0.920 0.809 0.601
O 0.691 0.580 0.101
O 0.309 0.420 0.101
O 0.860 0.640 0.873
O 0.000 0.500 0.082
O 0.191 0.920 0.399
O 0.191 0.920 0.899
O 0.500 0.000 0.418
O 0.640 0.140 0.127
O 0.580 0.309 0.399
O 0.640 0.140 0.627
O 0.691 0.580 0.601
O 0.500 0.000 0.918
O 0.000 0.500 0.582
O 0.360 0.860 0.627
O 0.420 0.691 0.399
O 0.080 0.191 0.101
O 0.809 0.080 0.899
O 0.140 0.360 0.873
O 0.809 0.080 0.399
O 0.309 0.420 0.601
O 0.860 0.640 0.373
O 0.140 0.360 0.373
O 0.360 0.860 0.127
Si 0.138 0.362 0.528
Si 0.138 0.362 0.028
Si 0.638 0.138 0.472
Si 0.362 0.862 0.472
Si 0.862 0.638 0.528
Si 0.362 0.862 0.972
Si 0.862 0.638 0.028
Si 0.638 0.138 0.972

**Magnetic moment**: 0.00 Bohr magnetons per cell
**VASP energy**: -7.222 eV per atom
**ΔH_f (0 K)**: -37.14 eV/f.u.



Here is crystalline Y2Co3Si3O12 at its relaxed geometry from the Materials Project. Energies are from GGA+U.

Unit cell a=10.628 b=10.628 c=10.628 alpha=109.47 beta=109.47 gamma=109.47
Positions (direct):
Y 0.000 0.000 0.000
Y 0.000 0.000 0.500
Y 0.000 0.500 0.000
Y 0.000 0.500 0.500
Y 0.500 0.000 0.000
Y 0.500 0.000 0.500
Y 0.500 0.500 0.000
Y 0.500 0.500 0.500
Co 0.125 0.250 0.375
Co 0.125 0.375 0.750
Co 0.250 0.375 0.125
Co 0.250 0.875 0.625
Co 0.375 0.125 0.250
Co 0.375 0.750 0.125
Co 0.625 0.250 0.875
Co 0.625 0.875 0.750
Co 0.750 0.125 0.375
Co 0.750 0.625 0.875
Co 0.875 0.625 0.250
Co 0.875 0.750 0.625
Si 0.125 0.750 0.875
Si 0.125 0.875 0.250
Si 0.250 0.125 0.875
Si 0.250 0.625 0.375
Si 0.375 0.250 0.625
Si 0.375 0.625 0.750
Si 0.625 0.375 0.250
Si 0.625 0.750 0.375
Si 0.750 0.375 0.625
Si 0.750 0.875 0.125
Si 0.875 0.125 0.750
Si 0.875 0.250 0.125
O 0.023 0.227 0.130
O 0.023 0.296 0.893
O 0.098 0.727 0.704
O 0.098 0.870 0.393
O 0.107 0.630 0.402
O 0.107 0.977 0.704
O 0.130 0.023 0.227
O 0.130 0.607 0.902
O 0.204 0.227 0.598
O 0.204 0.477 0.607
O 0.227 0.130 0.023
O 0.227 0.598 0.204
O 0.273 0.296 0.902
O 0.273 0.477 0.370
O 0.296 0.893 0.023
O 0.296 0.902 0.273
O 0.370 0.273 0.477
O 0.370 0.598 0.893
O 0.393 0.098 0.870
O 0.393 0.796 0.523
O 0.402 0.107 0.630
O 0.402 0.796 0.773
O 0.477 0.370 0.273
O 0.477 0.607 0.204
O 0.523 0.393 0.796
O 0.523 0.630 0.727
O 0.598 0.204 0.227
O 0.598 0.893 0.370
O 0.607 0.204 0.477
O 0.607 0.902 0.130
O 0.630 0.402 0.107
O 0.630 0.727 0.523
O 0.704 0.098 0.727
O 0.704 0.107 0.977
O 0.727 0.523 0.630
O 0.727 0.704 0.098
O 0.773 0.402 0.796
O 0.773 0.870 0.977
O 0.796 0.523 0.393
O 0.796 0.773 0.402
O 0.870 0.393 0.098
O 0.870 0.977 0.773
O 0.893 0.023 0.296
O 0.893 0.370 0.598
O 0.902 0.130 0.607
O 0.902 0.273 0.296
O 0.977 0.704 0.107
O 0.977 0.773 0.870

**Magnetic moment**: 36.04 Bohr magnetons per cell
**VASP energy**: -7.550 eV per atom
**ΔH_f (0 K)**: -54.25 eV/f.u.
**Space group**: Ia-3d (230)



Here is crystalline ZnCoSi4O10 at its relaxed geometry from the Materials Project. Energies are from GGA+U.

Unit cell a=7.306 b=7.306 c=14.942 alpha=90.00 beta=90.00 gamma=90.00
Positions (direct):
Zn 0.250 0.750 0.000
Zn 0.250 0.750 0.500
Zn 0.750 0.250 0.000
Zn 0.750 0.250 0.500
Co 0.250 0.250 0.071
Co 0.250 0.250 0.571
Co 0.750 0.750 0.429
Co 0.750 0.750 0.929
Si 0.010 0.589 0.145
Si 0.010 0.911 0.645
Si 0.089 0.510 0.355
Si 0.089 0.990 0.855
Si 0.411 0.510 0.855
Si 0.411 0.990 0.355
Si 0.490 0.589 0.645
Si 0.490 0.911 0.145
Si 0.510 0.089 0.855
Si 0.510 0.411 0.355
Si 0.589 0.010 0.645
Si 0.589 0.490 0.145
Si 0.911 0.010 0.145
Si 0.911 0.490 0.645
Si 0.990 0.089 0.355
Si 0.990 0.411 0.855
O 0.002 0.192 0.874
O 0.002 0.308 0.374
O 0.017 0.664 0.424
O 0.017 0.836 0.924
O 0.055 0.555 0.250
O 0.055 0.945 0.750
O 0.164 0.517 0.076
O 0.164 0.983 0.576
O 0.192 0.002 0.374
O 0.192 0.498 0.874
O 0.308 0.002 0.874
O 0.308 0.498 0.374
O 0.336 0.517 0.576
O 0.336 0.983 0.076
O 0.445 0.555 0.750
O 0.445 0.945 0.250
O 0.483 0.664 0.924
O 0.483 0.836 0.424
O 0.498 0.192 0.374
O 0.498 0.308 0.874
O 0.502 0.692 0.126
O 0.502 0.808 0.626
O 0.517 0.164 0.576
O 0.517 0.336 0.076
O 0.555 0.055 0.750
O 0.555 0.445 0.250
O 0.664 0.017 0.924
O 0.664 0.483 0.424
O 0.692 0.502 0.626
O 0.692 0.998 0.126
O 0.808 0.502 0.126
O 0.808 0.998 0.626
O 0.836 0.017 0.424
O 0.836 0.483 0.924
O 0.945 0.055 0.250
O 0.945 0.445 0.750
O 0.983 0.164 0.076
O 0.983 0.336 0.576
O 0.998 0.692 0.626
O 0.998 0.808 0.126

**Magnetic moment**: 12.08 Bohr magnetons per cell
**VASP energy**: -7.190 eV per atom
**ΔH_f (0 K)**: -44.01 eV/f.u.
**Space group**: P4/ncc (130)



Here is crystalline Zn3Co2Si4O14 at its relaxed geometry from the Materials Project. Energies are from GGA+U.

Unit cell a=9.261 b=9.261 c=9.815 alpha=120.22 beta=120.22 gamma=48.37
Positions (direct):
Zn 0.112 0.888 0.750
Zn 0.236 0.430 0.610
Zn 0.430 0.236 0.110
Zn 0.570 0.764 0.890
Zn 0.764 0.570 0.390
Zn 0.888 0.112 0.250
Co 0.289 0.711 0.250
Co 0.500 0.500 0.000
Co 0.500 0.500 0.500
Co 0.711 0.289 0.750
Si 0.021 0.741 0.898
Si 0.041 0.589 0.292
Si 0.259 0.979 0.602
Si 0.411 0.959 0.208
Si 0.589 0.041 0.792
Si 0.741 0.021 0.398
Si 0.959 0.411 0.708
Si 0.979 0.259 0.102
O 0.012 0.588 0.442
O 0.016 0.557 0.877
O 0.050 0.857 0.093
O 0.124 0.182 0.726
O 0.143 0.950 0.407
O 0.182 0.124 0.226
O 0.198 0.667 0.829
O 0.263 0.516 0.304
O 0.333 0.802 0.671
O 0.390 0.470 0.088
O 0.412 0.988 0.058
O 0.443 0.984 0.623
O 0.470 0.390 0.588
O 0.484 0.737 0.196
O 0.516 0.263 0.804
O 0.530 0.610 0.412
O 0.557 0.016 0.377
O 0.588 0.012 0.942
O 0.610 0.530 0.912
O 0.667 0.198 0.329
O 0.737 0.484 0.696
O 0.802 0.333 0.171
O 0.818 0.876 0.774
O 0.857 0.050 0.593
O 0.876 0.818 0.274
O 0.950 0.143 0.907
O 0.984 0.443 0.123
O 0.988 0.412 0.558

**Magnetic moment**: 8.00 Bohr magnetons per cell
**VASP energy**: -6.517 eV per atom
**ΔH_f (0 K)**: -53.81 eV/f.u.
**Space group**: C2/c (15)



Here is crystalline Sm2Co2O5 at its relaxed geometry from the Materials Project. Energies are from GGA+U.

Unit cell a=8.564 b=8.564 c=8.564 alpha=55.13 beta=140.69 gamma=142.94
Positions (direct):
Sm 0.025 0.110 0.136
Sm 0.025 0.390 0.415
Sm 0.975 0.610 0.585
Sm 0.975 0.890 0.864
Co 0.468 0.778 0.190
Co 0.482 0.482 0.000
Co 0.482 0.982 0.500
Co 0.588 0.278 0.810
O 0.012 0.653 0.859
O 0.328 0.066 0.547
O 0.328 0.280 0.762
O 0.501 0.218 0.236
O 0.501 0.765 0.783
O 0.519 0.566 0.238
O 0.519 0.780 0.453
O 0.794 0.153 0.141
O 0.982 0.265 0.764
O 0.982 0.718 0.217

**Magnetic moment**: 12.00 Bohr magnetons per cell
**VASP energy**: -7.249 eV per atom
**ΔH_f (0 K)**: -23.56 eV/f.u.
**Space group**: Ima2 (46)



Here is crystalline Sm2CoO3 at its relaxed geometry from the Materials Project. Energies are from GGA+U.

Unit cell a=6.309 b=7.334 c=11.768 alpha=87.37 beta=83.98 gamma=65.48
Positions (direct):
Sm 0.000 0.000 0.000
Sm 0.016 0.300 0.248
Sm 0.044 0.802 0.319
Sm 0.130 0.794 0.655
Sm 0.351 0.397 0.030
Sm 0.414 0.328 0.486
Sm 0.491 0.980 0.823
Sm 0.578 0.755 0.167
Sm 0.677 0.642 0.511
Sm 0.863 0.336 0.763
Co 0.308 0.464 0.790
Co 0.555 0.216 0.233
Co 0.671 0.038 0.603
Co 0.932 0.614 0.932
Co 0.972 0.210 0.502
O 0.130 0.999 0.791
O 0.179 0.970 0.177
O 0.234 0.169 0.963
O 0.275 0.187 0.373
O 0.327 0.667 0.463
O 0.355 0.524 0.212
O 0.412 0.224 0.685
O 0.518 0.587 0.692
O 0.672 0.214 0.904
O 0.732 0.984 0.152
O 0.772 0.209 0.367
O 0.804 0.636 0.318
O 0.870 0.836 0.512
O 0.928 0.523 0.083
O 0.945 0.626 0.773

**Magnetic moment**: 9.00 Bohr magnetons per cell
**VASP energy**: -7.141 eV per atom
**ΔH_f (0 K)**: -15.16 eV/f.u.
**Space group**: P1 (1)